VASP calculation (PBE+U) on Li5Mn6B6O18 after structural relaxation. Values from VASP.

```
&SYSTEM
  ibrav = 0, nat = 70, ntyp = 4
/
ATOMIC_SPECIES
Li 6.94 Li.upf
Mn 54.94 Mn.upf
B 10.81 B.upf
O 16.00 O.upf
CELL_PARAMETERS angstrom
8.799 0.000 0.000
-2.686 8.438 0.000
-1.559 -2.203 10.130
ATOMIC_POSITIONS angstrom
Li -2.549 4.897 8.253
Li 5.640 -0.901 8.113
Li 0.531 0.839 5.242
Li 5.130 3.371 5.608
Li 1.822 5.966 5.557
Li 3.957 1.785 3.114
Li 5.472 7.715 2.701
Li 2.745 0.180 0.579
Li -0.417 2.754 0.393
Li 4.314 6.261 0.265
Mn 0.003 -0.216 8.201
Mn 4.531 2.281 8.506
Mn 0.676 5.229 8.481
Mn 3.568 0.640 6.029
Mn -0.399 3.699 5.896
Mn 4.853 6.588 5.753
Mn -0.167 7.388 3.498
Mn 7.279 2.207 3.373
Mn 3.681 5.070 3.212
Mn -1.342 5.739 1.052
Mn 5.959 0.672 0.904
Mn 2.504 3.468 0.741
B -4.232 6.201 10.125
B 2.810 -0.187 8.829
B -1.098 2.610 8.882
B 3.466 4.788 7.611
B 6.695 1.124 6.413
B -0.971 6.709 6.379
B 2.360 3.127 5.046
B -2.122 5.111 3.779
B 5.557 -0.418 3.802
B 1.166 1.434 2.505
B 5.540 3.623 1.285
B 1.643 6.416 1.176
O -1.599 -1.072 9.354
O 1.555 -0.453 9.454
O -2.289 2.481 9.622
O -3.099 5.384 10.107
O -0.202 1.551 9.024
O 3.854 -1.078 8.997
O 2.938 0.946 8.069
O -0.873 3.717 8.114
O 2.524 4.318 8.498
O -1.002 0.227 6.532
O 5.541 0.865 7.120
O -2.128 6.576 7.191
O 4.654 4.063 7.422
O 1.796 -0.658 5.513
O 0.040 5.774 6.472
O 3.264 5.990 6.928
O 1.264 2.548 5.647
O 6.823 2.202 5.570
O 4.402 -0.733 4.514
O 3.557 2.386 4.932
O 2.320 4.417 4.559
O -1.096 4.227 3.901
O 0.135 0.943 3.317
O 5.506 4.987 4.506
O 5.635 0.736 3.035
O -2.011 6.211 2.873
O 2.389 0.753 2.460
O 3.958 7.157 3.858
O 0.968 2.546 1.726
O 4.330 3.354 1.898
O 0.417 6.149 1.788
O 2.710 5.546 1.303
O 6.595 2.735 1.315
O 5.702 4.864 0.612
O 1.781 7.588 0.461
O 5.049 8.038 0.804
```

Properties
- total magnetization (μB per atom) = 0.17
- crystal system = triclinic
- VASP energy (eV for the cell shown) = -515.79
- excess energy over the best structure of this formula in the dataset (eV/f.u.) = 0.27
- symmetry = No. 1
- DFT formation energy (eV/atom) = -2.475

***

VASP calculation (PBE+U) on LiMn2B2O6 after structural relaxation. Values from VASP.

```
&SYSTEM
  ibrav = 0, nat = 22, ntyp = 4
/
ATOMIC_SPECIES
Li 6.94 Li.upf
Mn 54.94 Mn.upf
B 10.81 B.upf
O 16.00 O.upf
CELL_PARAMETERS angstrom
5.301 0.000 0.000
0.017 5.794 0.000
0.006 1.469 8.039
ATOMIC_POSITIONS angstrom
Li 1.802 0.705 2.130
Li 3.522 6.557 5.909
Mn 0.951 1.925 4.571
Mn 1.592 3.346 7.370
Mn 3.732 3.917 0.669
Mn 4.372 5.338 3.468
B 4.377 1.033 0.780
B 3.564 2.495 3.314
B 1.760 4.768 4.725
B 0.946 6.230 7.259
O 0.435 1.105 0.848
O 1.650 1.441 6.555
O 4.256 1.598 4.143
O 2.232 2.364 3.102
O 4.284 3.474 2.627
O 1.728 5.286 7.917
O 3.596 1.976 0.122
O 1.039 3.789 5.412
O 3.092 4.899 4.937
O 1.067 5.665 3.896
O 3.674 5.822 1.484
O 4.888 6.158 7.191
```

Properties
- total magnetization (μB per atom) = 0.82
- crystal system = triclinic
- VASP energy (eV for the cell shown) = -164.87
- excess energy over the best structure of this formula in the dataset (eV/f.u.) = 0.14
- symmetry = No. 2
- DFT formation energy (eV/atom) = -2.419

***

Question: excess energy over the best structure of this formula in the dataset of number 2 (LiMn2B2O6)?
Answer: 0.14 eV/f.u.